# MnCoN2 meta-GGA r2SCAN relaxed
# DFT formation energy   -0.17 eV/atom
# Crystal system   trigonal
data_MnCoN2
_symmetry_space_group_name_H-M 'P 1'
_symmetry_Int_Tables_number 1
_cell_length_a 5.160
_cell_length_b 5.160
_cell_length_c 5.160
_cell_angle_alpha 33.74
_cell_angle_beta 33.74
_cell_angle_gamma 33.74
loop_
_symmetry_equiv_pos_as_xyz
'x,y,z'
loop_
_atom_site_label
_atom_site_fract_x
_atom_site_fract_y
_atom_site_fract_z
_atom_site_occupancy
Mn1 0.000 0.000 0.000 1
Co1 0.504 0.504 0.504 1
N1 0.375 0.375 0.375 1
N2 0.880 0.880 0.880 1

=====

# MgFeP4O12 meta-GGA r2SCAN relaxed
# DFT formation energy   -2.40 eV/atom
# Crystal system   monoclinic
data_MgFeP4O12
_symmetry_space_group_name_H-M 'P 1'
_symmetry_Int_Tables_number 1
_cell_length_a 7.207
_cell_length_b 7.207
_cell_length_c 9.970
_cell_angle_alpha 113.39
_cell_angle_beta 113.39
_cell_angle_gamma 70.07
loop_
_symmetry_equiv_pos_as_xyz
'x,y,z'
loop_
_atom_site_label
_atom_site_fract_x
_atom_site_fract_y
_atom_site_fract_z
_atom_site_occupancy
Mg1 0.052 0.948 0.750 1
Mg2 0.948 0.052 0.250 1
Fe1 0.000 0.500 0.500 1
Fe2 0.500 0.000 0.000 1
P1 0.251 0.729 0.022 1
P2 0.271 0.749 0.478 1
P3 0.295 0.312 0.803 1
P4 0.312 0.295 0.303 1
P5 0.688 0.705 0.697 1
P6 0.705 0.688 0.197 1
P7 0.729 0.251 0.522 1
P8 0.749 0.271 0.978 1
O1 0.089 0.847 0.096 1
O2 0.121 0.275 0.317 1
O3 0.153 0.911 0.404 1
O4 0.192 0.351 0.654 1
O5 0.193 0.719 0.585 1
O6 0.214 0.499 0.935 1
O7 0.275 0.121 0.817 1
O8 0.281 0.807 0.915 1
O9 0.311 0.533 0.350 1
O10 0.351 0.192 0.154 1
O11 0.467 0.689 0.150 1
O12 0.499 0.214 0.435 1
O13 0.501 0.786 0.565 1
O14 0.533 0.311 0.850 1
O15 0.649 0.808 0.846 1
O16 0.689 0.467 0.650 1
O17 0.719 0.193 0.085 1
O18 0.725 0.879 0.183 1
O19 0.786 0.501 0.065 1
O20 0.807 0.281 0.415 1
O21 0.808 0.649 0.346 1
O22 0.847 0.089 0.596 1
O23 0.879 0.725 0.683 1
O24 0.911 0.153 0.904 1

=====

# CsBiO2 meta-GGA r2SCAN relaxed
# DFT formation energy   -1.46 eV/atom
# Crystal system   monoclinic
data_CsBiO2
_symmetry_space_group_name_H-M 'P 1'
_symmetry_Int_Tables_number 1
_cell_length_a 6.242
_cell_length_b 6.242
_cell_length_c 5.990
_cell_angle_alpha 110.97
_cell_angle_beta 110.97
_cell_angle_gamma 96.54
loop_
_symmetry_equiv_pos_as_xyz
'x,y,z'
loop_
_atom_site_label
_atom_site_fract_x
_atom_site_fract_y
_atom_site_fract_z
_atom_site_occupancy
Cs1 0.141 0.859 0.750 1
Cs2 0.859 0.141 0.250 1
Bi1 0.412 0.588 0.250 1
Bi2 0.588 0.412 0.750 1
O1 0.270 0.378 0.795 1
O2 0.378 0.270 0.295 1
O3 0.622 0.730 0.705 1
O4 0.730 0.622 0.205 1